Entry 1:
Entry from Materials Project: NdMg2 after structural relaxation (r²SCAN).

Formation energy from the elements ... -0.12 eV/atom
Total magnetic moment ... 0.000 μB per formula unit

Unit cell a=8.6652 b=8.6652 c=8.6652 alpha=90.00 beta=90.00 gamma=90.00
With the nearest neighbours (Å) after each atom.
Space group Fd-3m (No. 227, origin choice 2)
Inequivalent atoms, fractional coordinates:
Nd 0.1250 0.1250 0.1250  12 Mg 3.59, 4 Nd 3.75
Mg 0.0000 0.0000 0.5000  6 Mg 3.06

Entry 2:
Entry from Materials Project: NdMgNi4 after structural relaxation (r²SCAN).

Formation energy from the elements ... -0.27 eV/atom
Total magnetic moment ... 0.687 μB per formula unit

Unit cell a=7.0258 b=7.0258 c=7.0258 alpha=90.00 beta=90.00 gamma=90.00
With the nearest neighbours (Å) after each atom.
Space group F-43m (No. 216)
Inequivalent atoms, fractional coordinates:
Nd 0.0000 0.0000 0.0000  12 Ni 2.92, 4 Mg 3.04
Mg 0.2500 0.2500 0.7500  12 Ni 2.91, 4 Nd 3.04
Ni 0.1233 0.1233 0.3767  6 Ni 2.45-2.52

Entry 3:
Entry from Materials Project: PmNdMg2 after structural relaxation (r²SCAN).

Formation energy from the elements ... -0.11 eV/atom
Total magnetic moment ... 0.000 μB per formula unit

Unit cell a=7.7534 b=7.7534 c=7.7534 alpha=90.00 beta=90.00 gamma=90.00
With the nearest neighbours (Å) after each atom.
Space group Fm-3m (No. 225)
Inequivalent atoms, fractional coordinates:
Pm 0.0000 0.0000 0.0000  8 Mg 3.36
Nd 0.0000 0.0000 0.5000  8 Mg 3.36
Mg 0.2500 0.2500 0.2500  4 Nd 3.36, 4 Pm 3.36

Entry 4:
Entry from Materials Project: Nd4MgRh after structural relaxation (r²SCAN).

Formation energy from the elements ... -0.37 eV/atom
Total magnetic moment ... 0.000 μB per formula unit

Unit cell a=14.1308 b=14.1308 c=14.1308 alpha=90.00 beta=90.00 gamma=90.00
With the nearest neighbours (Å) after each atom.
Space group F-43m (No. 216)
Inequivalent atoms, fractional coordinates:
Nd 0.0000 0.0000 0.1872  2 Mg 3.43, 2 Rh 3.61, 10 Nd 3.61-3.75
Nd 0.0619 0.2500 0.7500  2 Rh 2.91
Nd 0.0963 0.0963 0.4037  3 Rh 2.90
Mg 0.1714 0.1714 0.1714  3 Mg 3.14, 3 Nd 3.43
Rh 0.1082 0.1082 0.6082  6 Nd 2.90-2.91

Entry 5:
Entry from Materials Project: Nd4MgRu after structural relaxation (r²SCAN).

Formation energy from the elements ... -0.20 eV/atom
Total magnetic moment ... 0.000 μB per formula unit

Unit cell a=14.0937 b=14.0937 c=14.0937 alpha=90.00 beta=90.00 gamma=90.00
With the nearest neighbours (Å) after each atom.
Space group F-43m (No. 216)
Inequivalent atoms, fractional coordinates:
Nd 0.0000 0.0000 0.1882  2 Ru 2.83
Nd 0.0614 0.2500 0.2500  2 Mg 3.43, 2 Ru 3.59, 10 Nd 3.59-3.76
Nd 0.1561 0.1561 0.6561  3 Ru 2.93
Mg 0.0781 0.0781 0.4219  3 Mg 3.11, 3 Nd 3.43
Ru 0.1375 0.1375 0.8625  6 Nd 2.83-2.93

Entry 6:
Entry from Materials Project: Nd2MgSi2 after structural relaxation (r²SCAN).

Formation energy from the elements ... -0.74 eV/atom
Total magnetic moment ... 0.000 μB per formula unit

Unit cell a=7.3920 b=7.3920 c=4.3741 alpha=90.00 beta=90.00 gamma=90.00
With the nearest neighbours (Å) after each atom.
Space group P4/mbm (No. 127)
Inequivalent atoms, fractional coordinates:
Nd 0.1802 0.3198 0.0000  6 Si 3.06-3.12
Mg 0.0000 0.0000 0.5000  4 Si 2.97
Si 0.1145 0.6145 0.5000  1 Si 2.39

Entry 7:
Entry from Materials Project: NdMgSn after structural relaxation (r²SCAN).

Formation energy from the elements ... -0.70 eV/atom
Total magnetic moment ... 0.000 μB per formula unit

Unit cell a=4.5023 b=4.5023 c=16.2164 alpha=90.00 beta=90.00 gamma=90.00
With the nearest neighbours (Å) after each atom.
Space group I4/mmm (No. 139)
Inequivalent atoms, fractional coordinates:
Nd 0.0000 0.0000 0.1651  5 Sn 3.22-3.27, 4 Mg 3.50
Mg 0.0000 0.5000 0.0000  4 Sn 3.12, 4 Mg 3.18
Sn 0.0000 0.0000 0.3665  4 Mg 3.12, 5 Nd 3.22-3.27

Entry 8:
Entry from Materials Project: Nd2MgTl after structural relaxation (r²SCAN).

Formation energy from the elements ... -0.33 eV/atom
Total magnetic moment ... 0.001 μB per formula unit

Unit cell a=7.7730 b=7.7730 c=7.7730 alpha=90.00 beta=90.00 gamma=90.00
With the nearest neighbours (Å) after each atom.
Space group Fm-3m (No. 225)
Inequivalent atoms, fractional coordinates:
Nd 0.2500 0.2500 0.2500  4 Tl 3.37, 4 Mg 3.37
Mg 0.0000 0.0000 0.0000  8 Nd 3.37
Tl 0.0000 0.0000 0.5000  8 Nd 3.37

Entry 9:
Entry from Materials Project: NdMgZn2 after structural relaxation (r²SCAN).

Formation energy from the elements ... -0.35 eV/atom
Total magnetic moment ... 0.000 μB per formula unit

Unit cell a=6.9326 b=6.9326 c=6.9326 alpha=90.00 beta=90.00 gamma=90.00
With the nearest neighbours (Å) after each atom.
Space group Fm-3m (No. 225)
Inequivalent atoms, fractional coordinates:
Nd 0.0000 0.0000 0.0000  8 Zn 3.00
Mg 0.0000 0.0000 0.5000  8 Zn 3.00
Zn 0.2500 0.2500 0.2500  4 Mg 3.00, 4 Nd 3.00

Entry 10:
Entry from Materials Project: MgNi after structural relaxation (r²SCAN).

Formation energy from the elements ... -0.08 eV/atom
Total magnetic moment ... 0.000 μB per formula unit

Unit cell a=2.9559 b=2.9559 c=3.1251 alpha=90.00 beta=90.00 gamma=90.00
With the nearest neighbours (Å) after each atom.
Space group P4/mmm (No. 123)
Inequivalent atoms, fractional coordinates:
Mg 0.0000 0.0000 0.0000  8 Ni 2.61
Ni 0.5000 0.5000 0.5000  8 Mg 2.61

Entry 11:
Entry from Materials Project: MgNi2 after structural relaxation (r²SCAN).

Formation energy from the elements ... -0.16 eV/atom
Total magnetic moment ... 0.555 μB per formula unit

Unit cell a=4.7539 b=4.7539 c=15.6401 alpha=90.00 beta=90.00 gamma=120.00
With the nearest neighbours (Å) after each atom.
Space group P6_3/mmc (No. 194)
Inequivalent atoms, fractional coordinates:
Mg 0.0000 0.0000 0.0929  12 Ni 2.79-2.80, 4 Mg 2.91
Mg 0.3333 0.6667 0.1556  12 Ni 2.79-2.80, 4 Mg 2.91-2.95
Ni 0.0000 0.5000 0.0000  6 Ni 2.38-2.39
Ni 0.1643 0.3285 0.7500  6 Ni 2.34-2.41
Ni 0.3333 0.6667 0.6254  6 Ni 2.39

Entry 12:
Entry from Materials Project: Mg7Ni after structural relaxation (r²SCAN).

Formation energy from the elements ... 0.07 eV/atom
Total magnetic moment ... 0.000 μB per formula unit

Unit cell a=6.1131 b=6.1131 c=4.8774 alpha=90.00 beta=90.00 gamma=120.00
With the nearest neighbours (Å) after each atom.
Space group P-6m2 (No. 187)
Inequivalent atoms, fractional coordinates:
Mg 0.0000 0.0000 0.0000  12 Mg 3.01-3.06
Mg 0.0159 0.5080 0.0000  10 Mg 2.91-3.20, 2 Ni 2.96
Mg 0.3328 0.1664 0.5000  10 Mg 3.01-3.06, 2 Ni 3.06
Ni 0.3333 0.6667 0.5000  12 Mg 2.96-3.06